# 1
# MoWSe3S (PBE, optimized geometry)
# DFT formation energy	-4.42	eV per formula unit
# calculated total energy	-84.69	eV for the cell shown
# calculated volume	29.1	Å³/atom
# offset from the most stable computed form	0.0168	eV/atom
data_MoWSe3S
_chemical_formula_sum 'Mo2 W2 Se6 S2'
_cell_length_a 3.2886
_cell_length_b 3.2886
_cell_length_c 37.3434
_cell_angle_alpha 90.00
_cell_angle_beta 90.00
_cell_angle_gamma 120.00
_symmetry_space_group_name_H-M 'P 3 m 1'
_symmetry_Int_Tables_number 156
loop_
_symmetry_equiv_pos_as_xyz
'x,y,z'
'-y,x-y,z'
'-x+y,-x,z'
'-y,-x,z'
'-x+y,y,z'
'x,x-y,z'
loop_
_atom_site_label
_atom_site_fract_x
_atom_site_fract_y
_atom_site_fract_z
Mo1 0.0000 0.0000 0.0000
Mo2 0.3333 0.6667 0.1879
W1 0.0000 0.0000 0.3757
W2 0.3333 0.6667 0.5636
Se1 0.0000 0.0000 0.5182
Se2 0.0000 0.0000 0.6090
Se3 0.3333 0.6667 0.0451
Se4 0.3333 0.6667 0.3303
Se5 0.3333 0.6667 0.4211
Se6 0.3333 0.6667 0.9549
S1 0.0000 0.0000 0.1468
S2 0.0000 0.0000 0.2289

# 2
# MoWSe2S2 (PBE, optimized geometry)
# DFT formation energy	-5.29	eV per formula unit
# calculated total energy	-86.71	eV for the cell shown
# calculated volume	28.2	Å³/atom
# offset from the most stable computed form	0.0172	eV/atom
data_MoWSe2S2
_chemical_formula_sum 'Mo2 W2 Se4 S4'
_cell_length_a 3.2532
_cell_length_b 3.2532
_cell_length_c 36.8938
_cell_angle_alpha 90.00
_cell_angle_beta 90.00
_cell_angle_gamma 120.00
_symmetry_space_group_name_H-M 'P 3 m 1'
_symmetry_Int_Tables_number 156
loop_
_symmetry_equiv_pos_as_xyz
'x,y,z'
'-y,x-y,z'
'-x+y,-x,z'
'-y,-x,z'
'-x+y,y,z'
'x,x-y,z'
loop_
_atom_site_label
_atom_site_fract_x
_atom_site_fract_y
_atom_site_fract_z
Mo1 0.0000 0.0000 0.0000
Mo2 0.3333 0.6667 0.5636
W1 0.0000 0.0000 0.3757
W2 0.3333 0.6667 0.1879
Se1 0.0000 0.0000 0.5176
Se2 0.0000 0.0000 0.6096
Se3 0.3333 0.6667 0.3294
Se4 0.3333 0.6667 0.4221
S1 0.0000 0.0000 0.1459
S2 0.0000 0.0000 0.2299
S3 0.3333 0.6667 0.0419
S4 0.3333 0.6667 0.9581

# 3
# MoWSe2S2 (PBE, optimized geometry)
# DFT formation energy	-5.29	eV per formula unit
# calculated total energy	-86.71	eV for the cell shown
# calculated volume	28.2	Å³/atom
# offset from the most stable computed form	0.0168	eV/atom
data_MoWSe2S2
_chemical_formula_sum 'Mo2 W2 Se4 S4'
_cell_length_a 3.2540
_cell_length_b 3.2540
_cell_length_c 36.8803
_cell_angle_alpha 90.00
_cell_angle_beta 90.00
_cell_angle_gamma 120.00
_symmetry_space_group_name_H-M 'P 3 m 1'
_symmetry_Int_Tables_number 156
loop_
_symmetry_equiv_pos_as_xyz
'x,y,z'
'-y,x-y,z'
'-x+y,-x,z'
'-y,-x,z'
'-x+y,y,z'
'x,x-y,z'
loop_
_atom_site_label
_atom_site_fract_x
_atom_site_fract_y
_atom_site_fract_z
Mo1 0.0000 0.0000 0.0000
Mo2 0.3333 0.6667 0.8121
W1 0.0000 0.0000 0.6242
W2 0.3333 0.6667 0.1879
Se1 0.0000 0.0000 0.1415
Se2 0.0000 0.0000 0.2342
Se3 0.0000 0.0000 0.7661
Se4 0.0000 0.0000 0.8581
S1 0.3333 0.6667 0.0419
S2 0.3333 0.6667 0.5822
S3 0.3333 0.6667 0.6662
S4 0.3333 0.6667 0.9581

# 4
# MoW3Se6S2 (PBE, optimized geometry)
# DFT formation energy	-8.69	eV per formula unit
# calculated total energy	-86.65	eV for the cell shown
# calculated volume	29.2	Å³/atom
# offset from the most stable computed form	0.0007	eV/atom
data_MoW3Se6S2
_chemical_formula_sum 'Mo1 W3 Se6 S2'
_cell_length_a 3.2866
_cell_length_b 3.2866
_cell_length_c 37.3970
_cell_angle_alpha 90.00
_cell_angle_beta 90.00
_cell_angle_gamma 120.00
_symmetry_space_group_name_H-M 'P 3 m 1'
_symmetry_Int_Tables_number 156
loop_
_symmetry_equiv_pos_as_xyz
'x,y,z'
'-y,x-y,z'
'-x+y,-x,z'
'-y,-x,z'
'-x+y,y,z'
'x,x-y,z'
loop_
_atom_site_label
_atom_site_fract_x
_atom_site_fract_y
_atom_site_fract_z
Mo1 0.0000 0.0000 0.0000
W1 0.0000 0.0000 0.3758
W2 0.3333 0.6667 0.1879
W3 0.3333 0.6667 0.5636
Se1 0.0000 0.0000 0.1425
Se2 0.0000 0.0000 0.2332
Se3 0.3333 0.6667 0.0451
Se4 0.3333 0.6667 0.3304
Se5 0.3333 0.6667 0.4211
Se6 0.3333 0.6667 0.9549
S1 0.0000 0.0000 0.5224
S2 0.0000 0.0000 0.6048

# 5
# MoW3Se4S4 (PBE, optimized geometry)
# DFT formation energy	-10.24	eV per formula unit
# calculated total energy	-88.48	eV for the cell shown
# calculated volume	28.2	Å³/atom
# offset from the most stable computed form	0.0183	eV/atom
data_MoW3Se4S4
_chemical_formula_sum 'Mo1 W3 Se4 S4'
_cell_length_a 3.2540
_cell_length_b 3.2540
_cell_length_c 36.9188
_cell_angle_alpha 90.00
_cell_angle_beta 90.00
_cell_angle_gamma 120.00
_symmetry_space_group_name_H-M 'P 3 m 1'
_symmetry_Int_Tables_number 156
loop_
_symmetry_equiv_pos_as_xyz
'x,y,z'
'-y,x-y,z'
'-x+y,-x,z'
'-y,-x,z'
'-x+y,y,z'
'x,x-y,z'
loop_
_atom_site_label
_atom_site_fract_x
_atom_site_fract_y
_atom_site_fract_z
Mo1 0.0000 0.0000 0.0000
W1 0.0000 0.0000 0.3757
W2 0.3333 0.6667 0.1879
W3 0.3333 0.6667 0.5636
Se1 0.0000 0.0000 0.1416
Se2 0.0000 0.0000 0.2342
Se3 0.0000 0.0000 0.5173
Se4 0.0000 0.0000 0.6099
S1 0.3333 0.6667 0.0419
S2 0.3333 0.6667 0.3338
S3 0.3333 0.6667 0.4177
S4 0.3333 0.6667 0.9581

# 6
# MoWSe2S2 (PBE, optimized geometry)
# DFT formation energy	-5.19	eV per formula unit
# calculated total energy	-86.51	eV for the cell shown
# calculated volume	28.1	Å³/atom
# offset from the most stable computed form	0.0339	eV/atom
data_MoWSe2S2
_chemical_formula_sum 'Mo2 W2 Se4 S4'
_cell_length_a 3.2580
_cell_length_b 3.2580
_cell_length_c 36.7094
_cell_angle_alpha 90.00
_cell_angle_beta 90.00
_cell_angle_gamma 120.00
_symmetry_space_group_name_H-M 'P 3 m 1'
_symmetry_Int_Tables_number 156
loop_
_symmetry_equiv_pos_as_xyz
'x,y,z'
'-y,x-y,z'
'-x+y,-x,z'
'-y,-x,z'
'-x+y,y,z'
'x,x-y,z'
loop_
_atom_site_label
_atom_site_fract_x
_atom_site_fract_y
_atom_site_fract_z
Mo1 0.0000 0.0000 0.0000
Mo2 0.0000 0.0000 0.3758
W1 0.3333 0.6667 0.1879
W2 0.3333 0.6667 0.5637
Se1 0.0000 0.0000 0.1414
Se2 0.0000 0.0000 0.2344
Se3 0.0000 0.0000 0.5172
Se4 0.0000 0.0000 0.6102
S1 0.3333 0.6667 0.0420
S2 0.3333 0.6667 0.3338
S3 0.3333 0.6667 0.4178
S4 0.3333 0.6667 0.9580

# 7
# MoWSe3S (PBE, optimized geometry)
# DFT formation energy	-4.52	eV per formula unit
# calculated total energy	-84.89	eV for the cell shown
# calculated volume	29.1	Å³/atom
# offset from the most stable computed form	0.0006	eV/atom
data_MoWSe3S
_chemical_formula_sum 'Mo2 W2 Se6 S2'
_cell_length_a 3.2867
_cell_length_b 3.2867
_cell_length_c 37.3650
_cell_angle_alpha 90.00
_cell_angle_beta 90.00
_cell_angle_gamma 120.00
_symmetry_space_group_name_H-M 'P 3 m 1'
_symmetry_Int_Tables_number 156
loop_
_symmetry_equiv_pos_as_xyz
'x,y,z'
'-y,x-y,z'
'-x+y,-x,z'
'-y,-x,z'
'-x+y,y,z'
'x,x-y,z'
loop_
_atom_site_label
_atom_site_fract_x
_atom_site_fract_y
_atom_site_fract_z
Mo1 0.0000 0.0000 0.0000
Mo2 0.0000 0.0000 0.3757
W1 0.3333 0.6667 0.1879
W2 0.3333 0.6667 0.5636
Se1 0.0000 0.0000 0.1425
Se2 0.0000 0.0000 0.2333
Se3 0.3333 0.6667 0.0451
Se4 0.3333 0.6667 0.3306
Se5 0.3333 0.6667 0.4209
Se6 0.3333 0.6667 0.9549
S1 0.0000 0.0000 0.5224
S2 0.0000 0.0000 0.6049

# 8
# MoWSe3S (PBE, optimized geometry)
# DFT formation energy	-4.52	eV per formula unit
# calculated total energy	-84.89	eV for the cell shown
# calculated volume	29.1	Å³/atom
# offset from the most stable computed form	0.0002	eV/atom
data_MoWSe3S
_chemical_formula_sum 'Mo2 W2 Se6 S2'
_cell_length_a 3.2867
_cell_length_b 3.2867
_cell_length_c 37.3590
_cell_angle_alpha 90.00
_cell_angle_beta 90.00
_cell_angle_gamma 120.00
_symmetry_space_group_name_H-M 'P 3 m 1'
_symmetry_Int_Tables_number 156
loop_
_symmetry_equiv_pos_as_xyz
'x,y,z'
'-y,x-y,z'
'-x+y,-x,z'
'-y,-x,z'
'-x+y,y,z'
'x,x-y,z'
loop_
_atom_site_label
_atom_site_fract_x
_atom_site_fract_y
_atom_site_fract_z
Mo1 0.0000 0.0000 0.0000
Mo2 0.0000 0.0000 0.3757
W1 0.3333 0.6667 0.1879
W2 0.3333 0.6667 0.5636
Se1 0.0000 0.0000 0.5182
Se2 0.0000 0.0000 0.6090
Se3 0.3333 0.6667 0.0451
Se4 0.3333 0.6667 0.3306
Se5 0.3333 0.6667 0.4209
Se6 0.3333 0.6667 0.9549
S1 0.0000 0.0000 0.1466
S2 0.0000 0.0000 0.2291

# 9
# MoW3Se4S4 (PBE, optimized geometry)
# DFT formation energy	-10.45	eV per formula unit
# calculated total energy	-88.68	eV for the cell shown
# calculated volume	28.3	Å³/atom
# offset from the most stable computed form	0.0009	eV/atom
data_MoW3Se4S4
_chemical_formula_sum 'Mo1 W3 Se4 S4'
_cell_length_a 3.2517
_cell_length_b 3.2517
_cell_length_c 37.1479
_cell_angle_alpha 90.00
_cell_angle_beta 90.00
_cell_angle_gamma 120.00
_symmetry_space_group_name_H-M 'P 3 m 1'
_symmetry_Int_Tables_number 156
loop_
_symmetry_equiv_pos_as_xyz
'x,y,z'
'-y,x-y,z'
'-x+y,-x,z'
'-y,-x,z'
'-x+y,y,z'
'x,x-y,z'
loop_
_atom_site_label
_atom_site_fract_x
_atom_site_fract_y
_atom_site_fract_z
Mo1 0.0000 0.0000 0.0000
W1 0.0000 0.0000 0.3757
W2 0.3333 0.6667 0.1879
W3 0.3333 0.6667 0.5636
Se1 0.0000 0.0000 0.5177
Se2 0.0000 0.0000 0.6096
Se3 0.3333 0.6667 0.0457
Se4 0.3333 0.6667 0.9543
S1 0.0000 0.0000 0.1461
S2 0.0000 0.0000 0.2297
S3 0.3333 0.6667 0.3340
S4 0.3333 0.6667 0.4175

# 10
# MoWSe3S (PBE, optimized geometry)
# DFT formation energy	-4.52	eV per formula unit
# calculated total energy	-84.89	eV for the cell shown
# calculated volume	29.6	Å³/atom
# offset from the most stable computed form	0.0000	eV/atom
data_MoWSe3S
_chemical_formula_sum 'Mo2 W2 Se6 S2'
_cell_length_a 3.2902
_cell_length_b 3.2902
_cell_length_c 37.8982
_cell_angle_alpha 90.00
_cell_angle_beta 90.00
_cell_angle_gamma 120.00
_symmetry_space_group_name_H-M 'P 3 m 1'
_symmetry_Int_Tables_number 156
loop_
_symmetry_equiv_pos_as_xyz
'x,y,z'
'-y,x-y,z'
'-x+y,-x,z'
'-y,-x,z'
'-x+y,y,z'
'x,x-y,z'
loop_
_atom_site_label
_atom_site_fract_x
_atom_site_fract_y
_atom_site_fract_z
Mo1 0.0000 0.0000 0.0000
Mo2 0.3333 0.6667 0.1879
W1 0.0000 0.0000 0.3757
W2 0.3333 0.6667 0.5636
Se1 0.0000 0.0000 0.1434
Se2 0.0000 0.0000 0.2324
Se3 0.3333 0.6667 0.0445
Se4 0.3333 0.6667 0.3310
Se5 0.3333 0.6667 0.4205
Se6 0.3333 0.6667 0.9555
S1 0.0000 0.0000 0.5230
S2 0.0000 0.0000 0.6043

# 11
# MoWSe2S2 (PBE, optimized geometry)
# DFT formation energy	-5.30	eV per formula unit
# calculated total energy	-86.72	eV for the cell shown
# calculated volume	28.2	Å³/atom
# offset from the most stable computed form	0.0166	eV/atom
data_MoWSe2S2
_chemical_formula_sum 'Mo2 W2 Se4 S4'
_cell_length_a 3.2555
_cell_length_b 3.2555
_cell_length_c 36.8930
_cell_angle_alpha 90.00
_cell_angle_beta 90.00
_cell_angle_gamma 120.00
_symmetry_space_group_name_H-M 'P 3 m 1'
_symmetry_Int_Tables_number 156
loop_
_symmetry_equiv_pos_as_xyz
'x,y,z'
'-y,x-y,z'
'-x+y,-x,z'
'-y,-x,z'
'-x+y,y,z'
'x,x-y,z'
loop_
_atom_site_label
_atom_site_fract_x
_atom_site_fract_y
_atom_site_fract_z
Mo1 0.0000 0.0000 0.0000
Mo2 0.0000 0.0000 0.3757
W1 0.3333 0.6667 0.1879
W2 0.3333 0.6667 0.5637
Se1 0.0000 0.0000 0.5174
Se2 0.0000 0.0000 0.6100
Se3 0.3333 0.6667 0.0461
Se4 0.3333 0.6667 0.9540
S1 0.0000 0.0000 0.1459
S2 0.0000 0.0000 0.2300
S3 0.3333 0.6667 0.3339
S4 0.3333 0.6667 0.4176

# 12
# MoW3Se6S2 (PBE, optimized geometry)
# DFT formation energy	-8.69	eV per formula unit
# calculated total energy	-86.65	eV for the cell shown
# calculated volume	29.2	Å³/atom
# offset from the most stable computed form	0.0007	eV/atom
data_MoW3Se6S2
_chemical_formula_sum 'Mo1 W3 Se6 S2'
_cell_length_a 3.2865
_cell_length_b 3.2865
_cell_length_c 37.4003
_cell_angle_alpha 90.00
_cell_angle_beta 90.00
_cell_angle_gamma 120.00
_symmetry_space_group_name_H-M 'P 3 m 1'
_symmetry_Int_Tables_number 156
loop_
_symmetry_equiv_pos_as_xyz
'x,y,z'
'-y,x-y,z'
'-x+y,-x,z'
'-y,-x,z'
'-x+y,y,z'
'x,x-y,z'
loop_
_atom_site_label
_atom_site_fract_x
_atom_site_fract_y
_atom_site_fract_z
Mo1 0.0000 0.0000 0.0000
W1 0.0000 0.0000 0.6243
W2 0.3333 0.6667 0.1879
W3 0.3333 0.6667 0.8121
Se1 0.0000 0.0000 0.1425
Se2 0.0000 0.0000 0.2332
Se3 0.0000 0.0000 0.7668
Se4 0.0000 0.0000 0.8575
Se5 0.3333 0.6667 0.0451
Se6 0.3333 0.6667 0.9549
S1 0.3333 0.6667 0.5831
S2 0.3333 0.6667 0.6654